Entry from the Materials Project: a relaxed NiBi crystal (GGA-PBE).

Calculated values
calculated formation energy = -0.02 eV/atom

```
data_NiBi
_chemical_formula_sum 'Ni2 Bi2'
_space_group_name_H-M_alt 'P 63/m m c'
_space_group_IT_number 194
_space_group_name_Hall '-P 6c 2c'
_cell_length_a 4.1728
_cell_length_b 4.1728
_cell_length_c 5.2958
_cell_angle_alpha 90.00
_cell_angle_beta 90.00
_cell_angle_gamma 120.00
loop_
_atom_site_label
_atom_site_fract_x
_atom_site_fract_y
_atom_site_fract_z
Ni1 0.0000 0.0000 0.0000
Bi1 0.3333 0.6667 0.2500
```

---

Entry from the Materials Project: a relaxed NiBi crystal (GGA-PBE).

Calculated values
calculated formation energy = -0.02 eV/atom

```
data_NiBi
_chemical_formula_sum 'Ni32 Bi32'
_space_group_name_H-M_alt 'C 1 m 1'
_space_group_IT_number 8
_cell_length_a 14.227
_cell_length_b 8.290
_cell_length_c 12.886
_cell_angle_alpha 90.00
_cell_angle_beta 123.47
_cell_angle_gamma 90.00
loop_
_space_group_symop_operation_xyz
'x,y,z'
'x,-y,z'
'x+1/2,y+1/2,z'
'x+1/2,-y+1/2,z'
loop_
_atom_site_label
_atom_site_fract_x
_atom_site_fract_y
_atom_site_fract_z
Ni1 0.000 0.000 0.000
Ni2 0.002 0.241 0.502
Ni3 0.128 0.251 0.751
Ni4 0.130 0.000 0.245
Ni5 0.135 0.500 0.270
Ni6 0.233 0.000 0.130
Ni7 0.254 0.254 0.003
Ni8 0.262 0.500 0.508
Ni9 0.273 0.500 0.874
Ni10 0.377 0.237 0.249
Ni11 0.378 0.500 0.752
Ni12 0.483 0.500 0.627
Bi1 0.091 0.500 0.874
Bi2 0.108 0.000 0.875
Bi3 0.108 0.242 0.378
Bi4 0.138 0.272 0.120
Bi5 0.146 0.500 0.621
Bi6 0.164 0.000 0.625
Bi7 0.357 0.000 0.382
Bi8 0.357 0.500 0.371
Bi9 0.363 0.228 0.873
Bi10 0.390 0.229 0.626
Bi11 0.401 0.500 0.130
Bi12 0.412 0.000 0.123
```

---

Entry from the Materials Project: a relaxed NiBi6Rh crystal (GGA-PBE).

Calculated values
magnetization = 0.0 μB/f.u.
calculated formation energy = -0.09 eV/atom

```
data_NiBi6Rh
_chemical_formula_sum 'Ni2 Bi12 Rh2'
_space_group_name_H-M_alt 'P m c 21'
_space_group_IT_number 26
_cell_length_a 4.219
_cell_length_b 11.577
_cell_length_c 8.993
_cell_angle_alpha 90.00
_cell_angle_beta 90.00
_cell_angle_gamma 90.00
loop_
_space_group_symop_operation_xyz
'x,y,z'
'-x,-y,z+1/2'
'-x,y,z'
'x,-y,z+1/2'
loop_
_atom_site_label
_atom_site_fract_x
_atom_site_fract_y
_atom_site_fract_z
Ni1 0.000 0.229 0.000
Bi1 0.000 0.138 0.304
Bi2 0.000 0.152 0.715
Bi3 0.000 0.430 0.193
Bi4 0.500 0.073 0.007
Bi5 0.500 0.349 0.485
Bi6 0.500 0.359 0.898
Rh1 0.500 0.270 0.192
```

---

Asked for E across the records above, the calculation gives -4.851, -4.854, -4.649 eV/atom in order.